Here is an optimized crystal structure of Ga2O3 from the Materials Project. Energies are from PBE.

Properties
ρ (g cm⁻³): 5.5
Volume (Å³/cell): 453.6
MP2020-corrected energy (eV per atom): -6.232

a = 5.9107 Å, b = 5.9487 Å, c = 14.6225 Å
α = 88.73°, β = 87.98°, γ = 61.99°
Sites, in units of the cell vectors:
Ga1 0.5363 0.0403 0.3973
Ga2 0.7918 0.7845 0.1802
Ga3 0.3409 0.3244 0.1758
Ga4 0.1791 0.6900 0.7014
Ga5 0.4906 0.5018 0.5009
Ga6 0.0015 0.9867 0.4982
Ga7 0.0311 0.0632 0.1113
Ga8 0.2983 0.7926 0.2963
Ga9 0.1734 0.1759 0.8253
Ga10 0.8367 0.3212 0.6581
Ga11 0.8321 0.3374 0.3056
Ga12 0.6790 0.6495 0.9861
Ga13 0.6460 0.6790 0.8001
Ga14 0.4854 0.9902 0.6198
Ga15 0.6528 0.1662 0.9531
Ga16 0.1755 0.6528 0.9589
O1 0.6433 0.6626 0.1032
O2 0.4935 0.9947 0.2558
O3 0.2141 0.2161 0.0811
O4 0.6857 0.1551 0.0835
O5 0.3400 0.3671 0.4225
O6 0.0105 0.4943 0.2461
O7 0.1346 0.7104 0.0861
O8 0.1746 0.6820 0.5769
O9 0.8677 0.8420 0.4169
O10 0.5045 0.4783 0.2469
O11 0.3457 0.8467 0.4162
O12 0.9882 0.0082 0.2399
O13 0.0110 0.0215 0.7553
O14 0.6729 0.1675 0.5839
O15 0.8309 0.3468 0.9145
O16 0.8242 0.3225 0.4277
O17 0.5161 0.4913 0.7448
O18 0.1453 0.1521 0.5840
O19 0.6547 0.6449 0.5867
O20 0.9938 0.5005 0.7530
O21 0.3744 0.8082 0.9127
O22 0.8340 0.8222 0.9187
O23 0.4899 0.0058 0.7528
O24 0.3251 0.3291 0.9102